Material: As2PHCl3F11
Method: DFT, PBE
State: optimized geometry

POSCAR file:
```
As2PHCl3F11
1.0
24.6370 0.0000 0.0000
0.0000 8.7572 0.0000
0.0000 0.0000 12.2066
As P H Cl F
16 8 8 24 88
Direct
0.8365 0.2500 0.6227
0.3365 0.2500 0.8773
0.1635 0.7500 0.3773
0.6635 0.7500 0.1227
0.8255 0.2500 0.9297
0.3255 0.2500 0.5703
0.1745 0.7500 0.0703
0.6745 0.7500 0.4297
0.9030 0.7500 0.1236
0.4030 0.7500 0.3764
0.0970 0.2500 0.8764
0.5970 0.2500 0.6236
0.9353 0.7500 0.4295
0.4353 0.7500 0.0705
0.0647 0.2500 0.5705
0.5647 0.2500 0.9295
0.7450 0.2500 0.3149
0.2450 0.2500 0.1851
0.2550 0.7500 0.6851
0.7550 0.7500 0.8149
0.4890 0.2500 0.3209
0.9890 0.2500 0.1791
0.5110 0.7500 0.6791
0.0110 0.7500 0.8209
0.7260 0.2500 0.4240
0.2260 0.2500 0.0760
0.2740 0.7500 0.5760
0.7740 0.7500 0.9240
0.4572 0.2500 0.4169
0.9572 0.2500 0.0831
0.5428 0.7500 0.5831
0.0428 0.7500 0.9169
0.7885 0.0671 0.2906
0.2885 0.4329 0.2094
0.2115 0.5671 0.7094
0.7115 0.9329 0.7906
0.2115 0.9329 0.7094
0.7115 0.5671 0.7906
0.7885 0.4329 0.2906
0.2885 0.0671 0.2094
0.6819 0.2500 0.2179
0.1819 0.2500 0.2821
0.3181 0.7500 0.7821
0.8181 0.7500 0.7179
0.5344 0.0672 0.3199
0.0344 0.4328 0.1801
0.4656 0.5672 0.6801
0.9656 0.9328 0.8199
0.4656 0.9328 0.6801
0.9656 0.5672 0.8199
0.5344 0.4328 0.3199
0.0344 0.0672 0.1801
0.4404 0.2500 0.1948
0.9404 0.2500 0.3052
0.5596 0.7500 0.8052
0.0596 0.7500 0.6948
0.8597 0.2500 0.4875
0.3597 0.2500 0.0125
0.1403 0.7500 0.5125
0.6403 0.7500 0.9875
0.7869 0.1100 0.5974
0.2869 0.3900 0.9026
0.2131 0.6100 0.4026
0.7131 0.8900 0.0974
0.2131 0.8900 0.4026
0.7131 0.6100 0.0974
0.7869 0.3900 0.5974
0.2869 0.1100 0.9026
0.8813 0.1080 0.6668
0.3813 0.3920 0.8332
0.1187 0.6080 0.3332
0.6187 0.8920 0.1668
0.1187 0.8920 0.3332
0.6187 0.6080 0.1668
0.8813 0.3920 0.6668
0.3813 0.1080 0.8332
0.8066 0.2500 0.7732
0.3066 0.2500 0.7268
0.1934 0.7500 0.2268
0.6934 0.7500 0.2732
0.7552 0.2500 0.9488
0.2552 0.2500 0.5512
0.2448 0.7500 0.0512
0.7448 0.7500 0.4488
0.8398 0.2500 0.0697
0.3398 0.2500 0.4303
0.1602 0.7500 0.9303
0.6602 0.7500 0.5697
0.8249 0.0501 0.9183
0.3249 0.4499 0.5817
0.1751 0.5501 0.0817
0.6751 0.9499 0.4183
0.1751 0.9499 0.0817
0.6751 0.5501 0.4183
0.8249 0.4499 0.9183
0.3249 0.0501 0.5817
0.9408 0.7500 0.2591
0.4408 0.7500 0.2409
0.0592 0.2500 0.7409
0.5592 0.2500 0.7591
0.8414 0.7500 0.1950
0.3414 0.7500 0.3050
0.1586 0.2500 0.8050
0.6586 0.2500 0.6950
0.9335 0.7500 0.5721
0.4335 0.7500 0.9279
0.0665 0.2500 0.4279
0.5665 0.2500 0.0721
0.9686 0.7500 0.0635
0.4686 0.7500 0.4365
0.0314 0.2500 0.9365
0.5314 0.2500 0.5635
0.8713 0.7500 0.9949
0.3713 0.7500 0.5051
0.1287 0.2500 0.0051
0.6287 0.2500 0.4949
0.9055 0.9507 0.1297
0.4055 0.5493 0.3703
0.0945 0.4507 0.8703
0.5945 0.0493 0.6297
0.0945 0.0493 0.8703
0.5945 0.4507 0.6297
0.9055 0.5493 0.1297
0.4055 0.9507 0.3703
0.8946 0.2500 0.8931
0.3946 0.2500 0.6069
0.1054 0.7500 0.1069
0.6054 0.7500 0.3931
0.8857 0.8904 0.4134
0.3857 0.6096 0.0866
0.1143 0.3904 0.5866
0.6143 0.1096 0.9134
0.1143 0.1096 0.5866
0.6143 0.3904 0.9134
0.8857 0.6096 0.4134
0.3857 0.8904 0.0866
0.9854 0.8902 0.4174
0.4854 0.6098 0.0826
0.0146 0.3902 0.5826
0.5146 0.1098 0.9174
0.0146 0.1098 0.5826
0.5146 0.3902 0.9174
0.9854 0.6098 0.4174
0.4854 0.8902 0.0826
```

Computed properties:
density	2.51	Mg/m³
crystal system	orthorhombic
calculated formation energy	-1.969	eV/atom
volume	18.29	A^3/atom
VASP energy	-4.1721	eV per atom

---

Material: Er5In4Ni2
Method: DFT, PBE
State: optimized geometry

POSCAR file:
```
Er5In4Ni2
1.0
0.0000 0.0000 -3.5522
0.0000 -7.9293 0.0000
-17.8839 0.0000 0.0000
Er In Ni
10 8 4
Direct
0.0000 0.5000 0.5000
0.0000 0.0000 0.0000
0.0000 0.7570 0.2810
0.0000 0.2430 0.7190
0.0000 0.7430 0.7810
0.0000 0.2570 0.2190
0.0000 0.6228 0.0886
0.0000 0.3772 0.9114
0.0000 0.8772 0.5886
0.0000 0.1228 0.4114
0.5000 0.7006 0.9329
0.5000 0.2994 0.0671
0.5000 0.7994 0.4329
0.5000 0.2006 0.5671
0.5000 0.5672 0.6533
0.5000 0.4328 0.3467
0.5000 0.9328 0.1533
0.5000 0.0672 0.8467
0.5000 0.5412 0.1968
0.5000 0.4588 0.8032
0.5000 0.9588 0.6968
0.5000 0.0412 0.3032
```

Computed properties:
density	9.32	Mg/m³
crystal system	orthorhombic
calculated formation energy	-0.521	eV/atom
volume	22.90	A^3/atom
VASP energy	-4.6491	eV per atom

---

Number 1: total magnetic moment 0.153 μB/cell. Number 2: total magnetic moment 0.008 μB/cell.